i:
# Ba2SrMgWO6

A relaxed Ba2SrMgWO6 crystal (PBE with a Hubbard U, the Materials Project database).

The space group is C2/m (No. 12) and the conventional cell measures 11.579, 6.248 and 5.630 Å, with angles of 90.00, 110.64 and 90.00 degrees. Symmetry generates all atoms from Ba at (0.216, 0.000, 0.174), Sr at (0.000, 0.000, 0.500), Mg at (0.000, 0.500, 0.500), W at (0.000, 0.500, 0.000), O at (0.080, 0.278, 0.810) and O at (0.147, 0.500, 0.339).

Its size of the total moment is 0.182 μB/atom.



ii:
# Ba2SrMgWO6

A relaxed Ba2SrMgWO6 crystal (PBE with a Hubbard U, the Materials Project database).

The space group is Cm (No. 8) and the conventional cell measures 10.536, 6.011 and 7.110 Å, with angles of 90.00, 125.73 and 90.00 degrees. Symmetry generates all atoms from Ba at (0.000, 0.000, 0.000), Ba at (0.043, 0.500, 0.672), Sr at (0.370, 0.000, 0.046), Mg at (0.141, 0.000, 0.519), W at (0.332, 0.500, 0.422), O at (0.083, 0.000, 0.738), O at (0.120, 0.500, 0.118), O at (0.298, 0.256, 0.615) and O at (0.433, 0.284, 0.309).

Its size of the total moment is 0.182 μB/atom.



Which one is most stable, and which one is least stable? i is the most stable of them, while ii is the least stable.



i:
# BaMgVO3

A relaxed BaMgVO3 crystal (PBE with a Hubbard U, the Materials Project database).

The space group is Cm (No. 8) and the conventional cell measures 6.912, 5.973 and 4.604 Å, with angles of 90.00, 101.33 and 90.00 degrees. Symmetry generates all atoms from Ba at (0.000, 0.000, 0.000), Mg at (0.358, 0.000, 0.639), V at (0.141, 0.500, 0.357), O at (0.115, 0.500, 0.883) and O at (0.368, 0.249, 0.383).

Its size of the total moment is 0.500 μB/atom.



ii:
# BaMgVO3

A relaxed BaMgVO3 crystal (PBE with a Hubbard U, the Materials Project database).

The space group is Cm (No. 8) and the conventional cell measures 5.699, 5.669 and 5.668 Å, with angles of 90.00, 112.27 and 90.00 degrees. Symmetry generates all atoms from Ba at (0.000, 0.000, 0.000), Mg at (0.311, 0.000, 0.607), V at (0.205, 0.500, 0.375), O at (0.002, 0.241, 0.490) and O at (0.462, 0.000, 0.983).

Its size of the total moment is 0.500 μB/atom.



Which one is most stable, and which one is least stable? ii is the most stable of them, while i is the least stable.



i:
# BaMg6VO8

A relaxed BaMg6VO8 crystal (PBE with a Hubbard U, the Materials Project database).

The space group is P4/mmm (No. 123) and the conventional cell measures 4.661, 4.661 and 8.855 Å, with angles of 90.00, 90.00 and 90.00 degrees. Symmetry generates all atoms from Ba at (0.000, 0.000, 0.000), Mg at (0.000, 0.000, 0.500), Mg at (0.000, 0.500, 0.267), Mg at (0.500, 0.500, 0.500), V at (0.500, 0.500, 0.000), O at (0.000, 0.000, 0.283), O at (0.000, 0.500, 0.000), O at (0.000, 0.500, 0.500) and O at (0.500, 0.500, 0.258).

Its size of the total moment is 0.188 μB/atom.



ii:
# BaMg6VO8

A relaxed BaMg6VO8 crystal (PBE with a Hubbard U, the Materials Project database).

The space group is P4/mmm (No. 123) and the conventional cell measures 4.643, 4.643 and 9.007 Å, with angles of 90.00, 90.00 and 90.00 degrees. Symmetry generates all atoms from Ba at (0.000, 0.000, 0.000), Mg at (0.000, 0.500, 0.265), Mg at (0.500, 0.500, 0.000), Mg at (0.500, 0.500, 0.500), V at (0.000, 0.000, 0.500), O at (0.000, 0.000, 0.275), O at (0.000, 0.500, 0.000), O at (0.000, 0.500, 0.500) and O at (0.500, 0.500, 0.255).

Its size of the total moment is 0.188 μB/atom.



Which one is most stable, and which one is least stable? i is the most stable of them, while ii is the least stable.